1.
First-principles (PBE) data for HoIO9 after structural relaxation, as listed in the Materials Project database.

Crystal system: monoclinic
Electronic total energy in eV per atom: -5.14
Symmetry: P2_1/c (14)
Spin magnetization in μB per formula unit: 4.0
ΔH_f (0 K) in eV per atom: -0.66

Unit cell a=7.632 b=11.284 c=10.550 alpha=90.00 beta=125.11 gamma=90.00
Atoms (fractional coordinates):
Ho: 0.178 0.087 0.194
Ho: 0.178 0.413 0.694
Ho: 0.822 0.587 0.306
Ho: 0.822 0.913 0.806
I: 0.015 0.171 0.771
I: 0.015 0.329 0.271
I: 0.985 0.671 0.729
I: 0.985 0.829 0.229
O: 0.045 0.747 0.403
O: 0.045 0.753 0.903
O: 0.082 0.073 0.946
O: 0.082 0.427 0.446
O: 0.194 0.699 0.207
O: 0.194 0.801 0.707
O: 0.207 0.563 0.844
O: 0.207 0.937 0.344
O: 0.221 0.038 0.751
O: 0.221 0.462 0.251
O: 0.236 0.222 0.392
O: 0.236 0.278 0.892
O: 0.386 0.728 0.263
O: 0.386 0.772 0.763
O: 0.403 0.073 0.787
O: 0.403 0.427 0.287
O: 0.474 0.574 0.181
O: 0.474 0.926 0.681
O: 0.526 0.074 0.319
O: 0.526 0.426 0.819
O: 0.597 0.573 0.713
O: 0.597 0.927 0.213
O: 0.614 0.228 0.237
O: 0.614 0.272 0.737
O: 0.764 0.722 0.108
O: 0.764 0.778 0.608
O: 0.779 0.538 0.749
O: 0.779 0.962 0.249
O: 0.793 0.063 0.656
O: 0.793 0.437 0.156
O: 0.806 0.199 0.293
O: 0.806 0.301 0.793
O: 0.918 0.573 0.554
O: 0.918 0.927 0.054
O: 0.955 0.247 0.097
O: 0.955 0.253 0.597



2.
First-principles (PBE) data for Ce3B2Cl3O6 after structural relaxation, as listed in the Materials Project database.

Crystal system: hexagonal
Electronic total energy in eV per atom: -7.57
Symmetry: P6_3/m (176)
Spin magnetization in μB per formula unit: 2.5
ΔH_f (0 K) in eV per atom: -3.12

Unit cell a=9.223 b=9.223 c=5.853 alpha=90.00 beta=90.00 gamma=120.00
Atoms (fractional coordinates):
Ce: 0.050 0.663 0.250
Ce: 0.337 0.386 0.250
Ce: 0.386 0.050 0.750
Ce: 0.614 0.950 0.250
Ce: 0.663 0.614 0.750
Ce: 0.950 0.337 0.750
B: 0.333 0.667 0.513
B: 0.333 0.667 0.987
B: 0.667 0.333 0.013
B: 0.667 0.333 0.487
Cl: 0.037 0.798 0.750
Cl: 0.202 0.239 0.750
Cl: 0.239 0.037 0.250
Cl: 0.761 0.963 0.750
Cl: 0.798 0.761 0.250
Cl: 0.963 0.202 0.250
O: 0.171 0.537 0.001
O: 0.171 0.537 0.499
O: 0.366 0.829 0.001
O: 0.366 0.829 0.499
O: 0.463 0.634 0.001
O: 0.463 0.634 0.499
O: 0.537 0.366 0.501
O: 0.537 0.366 0.999
O: 0.634 0.171 0.501
O: 0.634 0.171 0.999
O: 0.829 0.463 0.501
O: 0.829 0.463 0.999



3.
First-principles (PBE) data for Tm2Be2GeO7 after structural relaxation, as listed in the Materials Project database.

Crystal system: tetragonal
Electronic total energy in eV per atom: -7.54
Symmetry: P-42_1m (113)
Spin magnetization in μB per formula unit: 0.0
ΔH_f (0 K) in eV per atom: -3.30

Unit cell a=7.375 b=7.375 c=4.785 alpha=90.00 beta=90.00 gamma=90.00
Atoms (fractional coordinates):
Tm: 0.158 0.342 0.007
Tm: 0.342 0.842 0.993
Tm: 0.658 0.158 0.993
Tm: 0.842 0.658 0.007
Be: 0.136 0.636 0.550
Be: 0.364 0.136 0.450
Be: 0.636 0.864 0.450
Be: 0.864 0.364 0.550
Ge: 0.000 0.000 0.500
Ge: 0.500 0.500 0.500
O: 0.000 0.500 0.694
O: 0.083 0.829 0.722
O: 0.142 0.642 0.218
O: 0.171 0.083 0.278
O: 0.329 0.583 0.722
O: 0.358 0.142 0.782
O: 0.417 0.329 0.278
O: 0.500 0.000 0.306
O: 0.583 0.671 0.278
O: 0.642 0.858 0.782
O: 0.671 0.417 0.722
O: 0.829 0.917 0.278
O: 0.858 0.358 0.218
O: 0.917 0.171 0.722



4.
First-principles (PBE) data for RbLiMnB4H16 after structural relaxation, as listed in the Materials Project database.

Crystal system: orthorhombic
Electronic total energy in eV per atom: -4.25
Symmetry: Aea2 (41)
Spin magnetization in μB per formula unit: 5.0
ΔH_f (0 K) in eV per atom: -0.33

Unit cell a=8.227 b=7.841 c=7.841 alpha=75.50 beta=90.00 gamma=90.00
Atoms (fractional coordinates):
Rb: 0.000 0.000 0.000
Rb: 0.500 0.500 0.500
Li: 0.000 0.639 0.639
Li: 0.500 0.139 0.139
Mn: 0.000 0.355 0.355
Mn: 0.500 0.855 0.855
B: 0.098 0.658 0.324
B: 0.246 0.239 0.258
B: 0.254 0.739 0.758
B: 0.402 0.158 0.824
B: 0.598 0.824 0.158
B: 0.746 0.758 0.739
B: 0.754 0.258 0.239
B: 0.902 0.324 0.658
H: 0.012 0.759 0.381
H: 0.013 0.602 0.218
H: 0.129 0.826 0.730
H: 0.142 0.322 0.154
H: 0.144 0.534 0.448
H: 0.209 0.220 0.415
H: 0.216 0.729 0.246
H: 0.240 0.591 0.735
H: 0.260 0.091 0.235
H: 0.284 0.229 0.746
H: 0.291 0.720 0.915
H: 0.356 0.034 0.948
H: 0.358 0.822 0.654
H: 0.371 0.326 0.230
H: 0.487 0.102 0.718
H: 0.488 0.259 0.881
H: 0.512 0.881 0.259
H: 0.513 0.718 0.102
H: 0.629 0.230 0.326
H: 0.642 0.654 0.822
H: 0.644 0.948 0.034
H: 0.709 0.915 0.720
H: 0.716 0.746 0.229
H: 0.740 0.235 0.091
H: 0.760 0.735 0.591
H: 0.784 0.246 0.729
H: 0.791 0.415 0.220
H: 0.856 0.448 0.534
H: 0.858 0.154 0.322
H: 0.871 0.730 0.826
H: 0.987 0.218 0.602
H: 0.988 0.381 0.759



5.
First-principles (PBE) data for Nd8Ga48Cu3 after structural relaxation, as listed in the Materials Project database.

Crystal system: tetragonal
Electronic total energy in eV per atom: -3.66
Symmetry: P-42m (111)
ΔH_f (0 K) in eV per atom: -0.34

Unit cell a=6.139 b=6.139 c=30.745 alpha=90.00 beta=90.00 gamma=90.00
Atoms (fractional coordinates):
Nd: 0.000 0.000 0.123
Nd: 0.000 0.000 0.376
Nd: 0.000 0.000 0.624
Nd: 0.000 0.000 0.877
Nd: 0.500 0.500 0.123
Nd: 0.500 0.500 0.376
Nd: 0.500 0.500 0.624
Nd: 0.500 0.500 0.877
Ga: 0.000 0.500 0.089
Ga: 0.000 0.500 0.168
Ga: 0.000 0.500 0.332
Ga: 0.000 0.500 0.411
Ga: 0.000 0.500 0.589
Ga: 0.000 0.500 0.668
Ga: 0.000 0.500 0.832
Ga: 0.000 0.500 0.911
Ga: 0.182 0.182 0.213
Ga: 0.182 0.818 0.787
Ga: 0.183 0.183 0.713
Ga: 0.183 0.817 0.287
Ga: 0.243 0.243 0.459
Ga: 0.243 0.757 0.541
Ga: 0.246 0.246 0.542
Ga: 0.246 0.754 0.458
Ga: 0.249 0.249 0.957
Ga: 0.249 0.751 0.043
Ga: 0.251 0.251 0.043
Ga: 0.251 0.749 0.957
Ga: 0.318 0.318 0.287
Ga: 0.318 0.318 0.787
Ga: 0.318 0.682 0.213
Ga: 0.318 0.682 0.713
Ga: 0.500 0.000 0.089
Ga: 0.500 0.000 0.168
Ga: 0.500 0.000 0.332
Ga: 0.500 0.000 0.411
Ga: 0.500 0.000 0.589
Ga: 0.500 0.000 0.668
Ga: 0.500 0.000 0.832
Ga: 0.500 0.000 0.911
Ga: 0.682 0.318 0.213
Ga: 0.682 0.318 0.713
Ga: 0.682 0.682 0.287
Ga: 0.682 0.682 0.787
Ga: 0.749 0.251 0.957
Ga: 0.749 0.749 0.043
Ga: 0.751 0.249 0.043
Ga: 0.751 0.751 0.957
Ga: 0.754 0.246 0.458
Ga: 0.754 0.754 0.542
Ga: 0.757 0.243 0.541
Ga: 0.757 0.757 0.459
Ga: 0.817 0.183 0.287
Ga: 0.817 0.817 0.713
Ga: 0.818 0.182 0.787
Ga: 0.818 0.818 0.213
Cu: 0.000 0.000 0.000
Cu: 0.500 0.500 0.000
Cu: 0.500 0.500 0.500



6.
First-principles (PBE) data for Li2Si2O5 after structural relaxation, as listed in the Materials Project database.

Crystal system: orthorhombic
Electronic total energy in eV per atom: -7.01
Symmetry: Pbcn (60)
ΔH_f (0 K) in eV per atom: -3.01

Unit cell a=5.728 b=4.854 c=14.794 alpha=90.00 beta=90.00 gamma=90.00
Atoms (fractional coordinates):
Li: 0.099 0.191 0.051
Li: 0.099 0.809 0.551
Li: 0.401 0.309 0.551
Li: 0.401 0.691 0.051
Li: 0.599 0.309 0.949
Li: 0.599 0.691 0.449
Li: 0.901 0.191 0.449
Li: 0.901 0.809 0.949
Si: 0.094 0.306 0.852
Si: 0.094 0.694 0.352
Si: 0.406 0.194 0.352
Si: 0.406 0.806 0.852
Si: 0.594 0.194 0.148
Si: 0.594 0.806 0.648
Si: 0.906 0.306 0.648
Si: 0.906 0.694 0.148
O: 0.000 0.244 0.750
O: 0.000 0.756 0.250
O: 0.076 0.211 0.568
O: 0.076 0.789 0.068
O: 0.151 0.359 0.361
O: 0.151 0.641 0.861
O: 0.349 0.141 0.861
O: 0.349 0.859 0.361
O: 0.424 0.289 0.068
O: 0.424 0.711 0.568
O: 0.500 0.256 0.250
O: 0.500 0.744 0.750
O: 0.576 0.289 0.432
O: 0.576 0.711 0.932
O: 0.651 0.141 0.639
O: 0.651 0.859 0.139
O: 0.849 0.359 0.139
O: 0.849 0.641 0.639
O: 0.924 0.211 0.932
O: 0.924 0.789 0.432



7.
First-principles (PBE) data for RbCu3S2 after structural relaxation, as listed in the Materials Project database.

Crystal system: monoclinic
Electronic total energy in eV per atom: -4.04
Symmetry: C2/m (12)
ΔH_f (0 K) in eV per atom: -0.62

Unit cell a=7.584 b=7.584 c=8.532 alpha=111.38 beta=111.38 gamma=29.95
Atoms (fractional coordinates):
Rb: 0.136 0.136 0.043
Rb: 0.864 0.864 0.957
Cu: 0.064 0.064 0.411
Cu: 0.310 0.310 0.579
Cu: 0.408 0.408 0.366
Cu: 0.592 0.592 0.634
Cu: 0.690 0.690 0.421
Cu: 0.936 0.936 0.589
S: 0.190 0.190 0.680
S: 0.475 0.475 0.752
S: 0.525 0.525 0.248
S: 0.810 0.810 0.320



8.
First-principles (PBE) data for MnNi2N2 after structural relaxation, as listed in the Materials Project database.

Crystal system: orthorhombic
Electronic total energy in eV per atom: -7.32
Symmetry: Pnma (62)
Spin magnetization in μB per formula unit: 0.0
ΔH_f (0 K) in eV per atom: 0.02

Unit cell a=5.048 b=2.814 c=13.953 alpha=90.00 beta=90.00 gamma=90.00
Atoms (fractional coordinates):
Mn: 0.123 0.250 0.197
Mn: 0.377 0.750 0.697
Mn: 0.623 0.250 0.303
Mn: 0.877 0.750 0.803
Ni: 0.186 0.750 0.367
Ni: 0.204 0.750 0.033
Ni: 0.296 0.250 0.533
Ni: 0.314 0.250 0.867
Ni: 0.686 0.750 0.133
Ni: 0.704 0.750 0.467
Ni: 0.796 0.250 0.967
Ni: 0.814 0.250 0.633
N: 0.027 0.750 0.685
N: 0.054 0.750 0.910
N: 0.446 0.250 0.410
N: 0.473 0.250 0.185
N: 0.527 0.750 0.815
N: 0.554 0.750 0.590
N: 0.946 0.250 0.090
N: 0.973 0.250 0.315



9.
First-principles (PBE) data for PrHoAl4 after structural relaxation, as listed in the Materials Project database.

Crystal system: cubic
Electronic total energy in eV per atom: -4.55
Symmetry: F-43m (216)
ΔH_f (0 K) in eV per atom: -0.49

Unit cell a=5.635 b=5.635 c=5.635 alpha=60.00 beta=60.00 gamma=60.00
Atoms (fractional coordinates):
Pr: 0.000 0.000 0.000
Ho: 0.750 0.750 0.750
Al: 0.375 0.375 0.375
Al: 0.375 0.375 0.875
Al: 0.375 0.875 0.375
Al: 0.875 0.375 0.375



10.
First-principles (PBE) data for Sr2NdCu3Pb2O8 after structural relaxation, as listed in the Materials Project database.

Crystal system: tetragonal
Electronic total energy in eV per atom: -5.91
Symmetry: P4/mmm (123)
Spin magnetization in μB per formula unit: 0.0
ΔH_f (0 K) in eV per atom: -2.04

Unit cell a=3.867 b=3.867 c=16.051 alpha=90.00 beta=90.00 gamma=90.00
Atoms (fractional coordinates):
Sr: 0.000 0.000 0.223
Sr: 0.000 0.000 0.777
Nd: 0.000 0.000 0.000
Cu: 0.000 0.000 0.500
Cu: 0.500 0.500 0.109
Cu: 0.500 0.500 0.891
Pb: 0.500 0.500 0.387
Pb: 0.500 0.500 0.613
O: 0.000 0.000 0.384
O: 0.000 0.000 0.616
O: 0.000 0.500 0.098
O: 0.000 0.500 0.902
O: 0.500 0.000 0.098
O: 0.500 0.000 0.902
O: 0.500 0.500 0.252
O: 0.500 0.500 0.748



11.
First-principles (PBE) data for Y2O3 after structural relaxation, as listed in the Materials Project database.

Crystal system: monoclinic
Electronic total energy in eV per atom: -9.07
Symmetry: C2/m (12)
ΔH_f (0 K) in eV per atom: -3.92

Unit cell a=7.277 b=7.277 c=8.695 alpha=100.10 beta=100.10 gamma=27.96
Atoms (fractional coordinates):
Y: 0.032 0.032 0.314
Y: 0.309 0.309 0.363
Y: 0.365 0.365 0.012
Y: 0.635 0.635 0.988
Y: 0.691 0.691 0.637
Y: 0.968 0.968 0.686
O: 0.128 0.128 0.782
O: 0.174 0.174 0.469
O: 0.207 0.207 0.123
O: 0.471 0.471 0.843
O: 0.500 0.500 0.500
O: 0.529 0.529 0.157
O: 0.793 0.793 0.877
O: 0.826 0.826 0.531
O: 0.872 0.872 0.218



12.
First-principles (PBE) data for Sb2O5 after structural relaxation, as listed in the Materials Project database.

Crystal system: monoclinic
Electronic total energy in eV per atom: -5.97
Symmetry: C2/c (15)
ΔH_f (0 K) in eV per atom: -1.75

Unit cell a=6.881 b=6.881 c=5.520 alpha=102.66 beta=102.66 gamma=41.64
Atoms (fractional coordinates):
Sb: 0.101 0.623 0.717
Sb: 0.377 0.899 0.783
Sb: 0.623 0.101 0.217
Sb: 0.899 0.377 0.283
O: 0.014 0.189 0.950
O: 0.189 0.014 0.450
O: 0.218 0.377 0.377
O: 0.377 0.218 0.877
O: 0.420 0.580 0.750
O: 0.580 0.420 0.250
O: 0.623 0.782 0.123
O: 0.782 0.623 0.623
O: 0.811 0.986 0.550
O: 0.986 0.811 0.050



Question: Look up the ΔH_f (0 K) of the eleventh one.
Answer: -3.92 eV per atom



Question: The lowest ΔH_f (0 K) belongs to which entry?
Answer: Y2O3